# 1
Material: UInRh
Method: DFT, PBE
State: optimized geometry

a = 7.246 Å, b = 7.246 Å, c = 4.164 Å
α = 90.00°, β = 90.00°, γ = 120.00°
Element x y z (fractional)
U: 0.418 0.418 0.500
U: 0.582 0.000 0.500
U: 0.000 0.582 0.500
In: 0.753 0.753 0.000
In: 0.247 0.000 0.000
In: 0.000 0.247 0.000
Rh: 0.667 0.333 0.000
Rh: 0.333 0.667 0.000
Rh: 0.000 0.000 0.500

Properties
Energy of formation ... -0.893 eV/f.u.
Volume ... 189.4 Å³ per cell
Calculated total energy ... -66.902 eV/cell

# 2
Material: YInRh
Method: DFT, PBE
State: optimized geometry

a = 7.536 Å, b = 7.536 Å, c = 3.962 Å
α = 90.00°, β = 90.00°, γ = 120.00°
Element x y z (fractional)
Y: 0.000 0.593 0.500
Y: 0.407 0.407 0.500
Y: 0.593 0.000 0.500
In: 0.000 0.256 0.000
In: 0.256 0.000 0.000
In: 0.744 0.744 0.000
Rh: 0.333 0.667 0.000
Rh: 0.000 0.000 0.500
Rh: 0.667 0.333 0.000

Properties
Energy of formation ... -2.242 eV/f.u.
Volume ... 194.8 Å³ per cell
Calculated total energy ... -56.473 eV/cell

# 3
Material: YIn5Rh
Method: DFT, PBE
State: optimized geometry

a = 4.679 Å, b = 4.679 Å, c = 7.503 Å
α = 90.00°, β = 90.00°, γ = 90.00°
Element x y z (fractional)
Y: 0.000 0.000 0.000
In: 0.000 0.500 0.301
In: 0.000 0.500 0.699
In: 0.500 0.000 0.301
In: 0.500 0.000 0.699
In: 0.500 0.500 0.000
Rh: 0.000 0.000 0.500

Properties
Energy of formation ... -2.866 eV/f.u.
Volume ... 164.3 Å³ per cell
Calculated total energy ... -30.455 eV/cell

# 4
Material: ZrInRh2
Method: DFT, PBE
State: optimized geometry

a = 4.614 Å, b = 4.614 Å, c = 4.614 Å
α = 60.00°, β = 60.00°, γ = 60.00°
Element x y z (fractional)
Zr: 0.500 0.500 0.500
In: 0.000 0.000 0.000
Rh: 0.750 0.750 0.750
Rh: 0.250 0.250 0.250

Properties
Energy of formation ... -2.887 eV/f.u.
Volume ... 69.5 Å³ per cell
Calculated total energy ... -28.915 eV/cell

# 5
Material: InRu3
Method: DFT, PBE
State: optimized geometry

a = 4.533 Å, b = 5.628 Å, c = 5.628 Å
α = 120.00°, β = 90.00°, γ = 90.00°
Element x y z (fractional)
In: 0.750 0.333 0.667
In: 0.250 0.667 0.333
Ru: 0.750 0.835 0.165
Ru: 0.750 0.330 0.165
Ru: 0.750 0.835 0.670
Ru: 0.250 0.165 0.835
Ru: 0.250 0.670 0.835
Ru: 0.250 0.165 0.330

Properties
Energy of formation ... 1.238 eV/f.u.
Volume ... 124.4 Å³ per cell
Calculated total energy ... -58.673 eV/cell

# 6
Material: ThInRu2
Method: DFT, PBE
State: optimized geometry

a = 4.807 Å, b = 4.807 Å, c = 4.807 Å
α = 60.00°, β = 60.00°, γ = 60.00°
Element x y z (fractional)
Th: 0.000 0.000 0.000
In: 0.500 0.500 0.500
Ru: 0.250 0.250 0.250
Ru: 0.750 0.750 0.750

Properties
Energy of formation ... -1.234 eV/f.u.
Volume ... 78.5 Å³ per cell
Calculated total energy ... -29.948 eV/cell

# 7
Material: In2S3
Method: DFT, PBE
State: optimized geometry

a = 7.011 Å, b = 7.011 Å, c = 6.914 Å
α = 80.79°, β = 80.79°, γ = 120.40°
Element x y z (fractional)
In: 0.017 0.183 0.999
In: 0.183 0.017 0.499
In: 0.821 0.331 0.496
In: 0.331 0.821 0.996
S: 0.385 0.548 0.864
S: 0.022 0.859 0.886
S: 0.859 0.022 0.386
S: 0.705 0.214 0.884
S: 0.548 0.385 0.364
S: 0.214 0.705 0.384

Properties
Energy of formation ... -4.088 eV/f.u.
Volume ... 277.5 Å³ per cell
Calculated total energy ... -40.984 eV/cell

# 8
Material: In2S3
Method: DFT, PBE
State: optimized geometry

a = 17.330 Å, b = 17.330 Å, c = 17.330 Å
α = 154.10°, β = 154.10°, γ = 36.95°
Element x y z (fractional)
In: 0.920 0.420 0.500
In: 0.170 0.170 0.000
In: 0.830 0.830 0.000
In: 0.580 0.080 0.500
In: 0.707 0.939 0.232
In: 0.525 0.293 0.232
In: 0.061 0.293 0.768
In: 0.043 0.775 0.732
In: 0.043 0.311 0.268
In: 0.689 0.957 0.732
In: 0.225 0.957 0.268
In: 0.707 0.475 0.768
In: 0.375 0.625 0.250
In: 0.375 0.625 0.750
In: 0.875 0.625 0.250
In: 0.375 0.125 0.750
S: 0.788 0.061 0.273
S: 0.484 0.212 0.273
S: 0.939 0.212 0.727
S: 0.962 0.734 0.773
S: 0.962 0.189 0.227
S: 0.811 0.038 0.773
S: 0.266 0.038 0.227
S: 0.788 0.516 0.727
S: 0.453 0.716 0.263
S: 0.810 0.547 0.263
S: 0.284 0.547 0.737
S: 0.297 0.060 0.763
S: 0.297 0.534 0.237
S: 0.466 0.703 0.763
S: 0.940 0.703 0.237
S: 0.453 0.190 0.737
S: 0.626 0.383 0.758
S: 0.133 0.876 0.258
S: 0.618 0.876 0.742
S: 0.124 0.382 0.258
S: 0.124 0.867 0.742
S: 0.132 0.374 0.758
S: 0.617 0.374 0.242
S: 0.626 0.868 0.242

Properties
Energy of formation ... -4.174 eV/f.u.
Volume ... 991.5 Å³ per cell
Calculated total energy ... -164.622 eV/cell